Below is a geometry-optimized In2Rh3S2 structure, with properties calculated at the GGA-PBE level.

Cell and atoms, written as CIF:
```
data_In2Rh3S2
_chemical_formula_sum 'In2 Rh3 S2'
_cell_length_a 5.6321
_cell_length_b 5.6321
_cell_length_c 5.6321
_cell_angle_alpha 60.80
_cell_angle_beta 60.80
_cell_angle_gamma 60.80
_space_group_name_H-M_alt 'P 1'
_space_group_IT_number 1
loop_
_space_group_symop_operation_xyz
'x,y,z'
loop_
_atom_site_label
_atom_site_fract_x
_atom_site_fract_y
_atom_site_fract_z
In1 0.0000 0.0000 0.0000
In2 0.5000 0.5000 0.5000
Rh1 0.0000 0.5000 0.5000
Rh2 0.5000 0.0000 0.5000
Rh3 0.5000 0.5000 0.0000
S1 0.2154 0.2154 0.2154
S2 0.7846 0.7846 0.7846
```

Crystal system: trigonal
Raw total energy, eV/cell: -39.35